The following is a PBE calculation of crystalline SbBr3 at its relaxed geometry, from Materials Project.

Cell lengths 4.4631, 12.3370, 14.0994 Å; angles 90.00, 90.00, 90.00 degrees
Space group P2_12_12_1 (No. 19)
Asymmetric unit:
Sb: 0.2475 0.0412 0.4613 (multiplicity 4)
Br: 0.0184 0.6132 0.6231 (multiplicity 4)
Br: 0.0378 0.4745 0.3832 (multiplicity 4)
Br: 0.0590 0.3071 0.6156 (multiplicity 4)

Results
Total energy = -0.105 hartree per atom
Formation energy = -1008.7 meV/atom
Volume = 776.3 Å³ per cell
ρ = 3.09 g/cm³
Largest piezoelectric modulus = 0.0 C/m²